Entry 1:
VASP calculation (PBE-GGA) on crystalline Nd4Ge3S12 at its relaxed geometry.

```
data_Nd4Ge3S12
_space_group_name_H-M_alt 'R 3 c'
_space_group_IT_number 161
_space_group_name_Hall 'R 3 -2"c'
_cell_length_a 19.4801
_cell_length_b 19.4801
_cell_length_c 8.0215
_cell_angle_alpha 90.00
_cell_angle_beta 90.00
_cell_angle_gamma 120.00
loop_
_atom_site_label
_atom_site_fract_x
_atom_site_fract_y
_atom_site_fract_z
Nd1 0.0000 0.0000 0.0000
Nd2 0.0049 0.2330 0.2086
Ge1 0.1463 0.4673 0.3239
S1 0.0627 0.3920 0.5246
S2 0.0876 0.2012 0.4994
S3 0.1235 0.0606 0.2497
S4 0.1527 0.3784 0.1609
```

Results
ΔE_f   -1.558 eV per atom
Volume   439.36 Å³/f.u.
Calculated total energy   -5.587 eV per atom
Total energy after the MP2020 corrections   -5.9046 eV per atom


Entry 2:
VASP calculation (PBE-GGA) on crystalline Na10Nb2In6Si7S5O48 at its relaxed geometry.

```
data_Na10Nb2In6Si7S5O48
_space_group_name_H-M_alt 'P 1'
_space_group_IT_number 1
_cell_length_a 9.112
_cell_length_b 15.844
_cell_length_c 23.008
_cell_angle_alpha 89.85
_cell_angle_beta 90.00
_cell_angle_gamma 90.00
loop_
_space_group_symop_operation_xyz
'x,y,z'
loop_
_atom_site_label
_atom_site_fract_x
_atom_site_fract_y
_atom_site_fract_z
Na1 0.000 0.000 0.000
Na2 0.000 0.300 0.329
Na3 0.007 0.657 0.338
Na4 0.043 0.649 0.674
Na5 0.178 0.140 0.418
Na6 0.179 0.817 0.753
Na7 0.181 0.480 0.086
Na8 0.184 0.820 0.251
Na9 0.198 0.147 0.916
Na10 0.199 0.482 0.586
Na11 0.357 0.965 0.174
Na12 0.361 0.653 0.839
Na13 0.365 0.628 0.501
Na14 0.380 0.999 0.500
Na15 0.489 0.498 0.001
Na16 0.505 0.129 0.002
Na17 0.508 0.154 0.339
Na18 0.570 0.149 0.670
Na19 0.671 0.647 0.416
Na20 0.680 0.328 0.750
Na21 0.686 0.977 0.086
Na22 0.690 0.980 0.585
Na23 0.691 0.639 0.918
Na24 0.697 0.325 0.250
Na25 0.827 0.151 0.173
Na26 0.866 0.159 0.834
Na27 0.869 0.499 0.500
Na28 0.870 0.800 0.830
Na29 0.990 0.966 0.670
Na30 0.993 0.330 0.674
Nb1 0.168 0.153 0.065
Nb2 0.193 0.816 0.905
Nb3 0.203 0.810 0.400
Nb4 0.666 0.310 0.900
Nb5 0.676 0.317 0.404
Nb6 0.700 0.652 0.565
In1 0.164 0.138 0.271
In2 0.171 0.482 0.235
In3 0.182 0.145 0.774
In4 0.184 0.152 0.567
In5 0.184 0.812 0.602
In6 0.188 0.488 0.742
In7 0.189 0.814 0.103
In8 0.190 0.487 0.939
In9 0.190 0.488 0.436
In10 0.678 0.643 0.274
In11 0.678 0.651 0.069
In12 0.678 0.989 0.936
In13 0.680 0.315 0.605
In14 0.680 0.987 0.439
In15 0.690 0.317 0.104
In16 0.691 0.984 0.242
In17 0.699 0.983 0.737
In18 0.703 0.638 0.772
Si1 0.034 0.996 0.168
Si2 0.035 0.631 0.840
Si3 0.039 0.300 0.173
Si4 0.040 0.670 0.504
Si5 0.333 0.667 0.007
Si6 0.336 0.627 0.336
Si7 0.337 0.962 0.008
Si8 0.387 0.983 0.336
Si9 0.388 0.317 0.008
Si10 0.482 0.483 0.838
Si11 0.483 0.817 0.507
Si12 0.529 0.129 0.836
Si13 0.533 0.168 0.508
Si14 0.533 0.461 0.507
Si15 0.827 0.171 0.004
Si16 0.830 0.797 0.672
Si17 0.834 0.131 0.340
Si18 0.837 0.498 0.668
Si19 0.889 0.480 0.340
Si20 0.894 0.150 0.671
Si21 0.983 0.980 0.841
S1 0.033 0.335 0.839
S2 0.038 0.960 0.503
S3 0.328 0.297 0.672
S4 0.333 0.999 0.670
S5 0.335 0.336 0.338
S6 0.395 0.649 0.670
S7 0.474 0.150 0.170
S8 0.534 0.836 0.838
S9 0.536 0.500 0.170
S10 0.542 0.796 0.172
S11 0.832 0.462 0.003
S12 0.837 0.834 0.339
S13 0.892 0.813 0.003
S14 0.973 0.650 0.170
S15 0.979 0.315 0.502
O1 0.001 0.824 0.345
O2 0.003 0.130 0.615
O3 0.007 0.156 0.338
O4 0.011 0.163 0.009
O5 0.012 0.807 0.665
O6 0.021 0.495 0.671
O7 0.055 0.382 0.783
O8 0.061 0.569 0.893
O9 0.063 0.242 0.230
O10 0.064 0.916 0.560
O11 0.065 0.573 0.172
O12 0.065 0.727 0.167
O13 0.069 0.237 0.503
O14 0.070 0.391 0.495
O15 0.074 0.062 0.111
O16 0.074 0.068 0.836
O17 0.076 0.730 0.446
O18 0.087 0.894 0.851
O19 0.094 0.248 0.836
O20 0.096 0.376 0.889
O21 0.100 0.573 0.500
O22 0.107 0.242 0.115
O23 0.108 0.913 0.454
O24 0.111 0.903 0.163
O25 0.113 0.704 0.563
O26 0.116 0.603 0.779
O27 0.117 0.044 0.504
O28 0.120 0.727 0.851
O29 0.121 0.391 0.171
O30 0.123 0.034 0.223
O31 0.244 0.588 0.282
O32 0.248 0.723 0.345
O33 0.253 0.056 0.011
O34 0.253 0.911 0.952
O35 0.254 0.380 0.677
O36 0.257 0.916 0.666
O37 0.260 0.710 0.063
O38 0.263 0.040 0.721
O39 0.265 0.259 0.618
O40 0.267 0.373 0.390
O41 0.267 0.573 0.003
O42 0.276 0.249 0.332
O43 0.276 0.899 0.349
O44 0.283 0.397 0.997
O45 0.293 0.731 0.949
O46 0.296 0.072 0.331
O47 0.296 0.725 0.667
O48 0.300 0.572 0.671
O49 0.301 0.242 0.723
O50 0.303 0.225 0.014
O51 0.309 0.911 0.067
O52 0.311 0.050 0.616
O53 0.316 0.581 0.398
O54 0.317 0.387 0.285
O55 0.351 0.157 0.506
O56 0.356 0.149 0.830
O57 0.358 0.476 0.499
O58 0.367 0.800 0.449
O59 0.369 0.826 0.845
O60 0.375 0.494 0.176
O61 0.376 0.840 0.561
O62 0.378 0.140 0.118
O63 0.379 0.805 0.170
O64 0.385 0.459 0.781
O65 0.388 0.160 0.225
O66 0.392 0.499 0.897
O67 0.479 0.961 0.276
O68 0.480 0.659 0.724
O69 0.481 0.998 0.395
O70 0.490 0.304 0.669
O71 0.490 0.642 0.618
O72 0.493 0.991 0.677
O73 0.496 0.339 0.061
O74 0.500 0.325 0.346
O75 0.503 0.300 0.950
O76 0.509 0.649 0.331
O77 0.512 0.976 0.999
O78 0.516 0.658 0.006
O79 0.553 0.080 0.897
O80 0.554 0.888 0.785
O81 0.564 0.070 0.172
O82 0.566 0.406 0.563
O83 0.566 0.549 0.115
O84 0.566 0.725 0.514
O85 0.573 0.573 0.832
O86 0.575 0.223 0.166
O87 0.577 0.745 0.224
O88 0.578 0.232 0.451
O89 0.587 0.897 0.497
O90 0.593 0.750 0.832
O91 0.594 0.399 0.850
O92 0.597 0.208 0.567
O93 0.601 0.073 0.503
O94 0.602 0.758 0.118
O95 0.602 0.873 0.890
O96 0.604 0.541 0.221
O97 0.605 0.415 0.167
O98 0.606 0.883 0.175
O99 0.614 0.092 0.779
O100 0.615 0.413 0.450
O101 0.616 0.556 0.511
O102 0.620 0.224 0.845
O103 0.749 0.226 0.351
O104 0.753 0.101 0.279
O105 0.753 0.207 0.063
O106 0.755 0.546 0.007
O107 0.755 0.890 0.671
O108 0.760 0.418 0.953
O109 0.763 0.741 0.615
O110 0.764 0.536 0.726
O111 0.769 0.074 0.001
O112 0.771 0.871 0.390
O113 0.777 0.403 0.662
O114 0.779 0.746 0.332
O115 0.783 0.395 0.350
O116 0.788 0.234 0.667
O117 0.789 0.065 0.672
O118 0.794 0.230 0.947
O119 0.796 0.563 0.611
O120 0.798 0.889 0.996
O121 0.799 0.569 0.333
O122 0.804 0.735 0.007
O123 0.807 0.415 0.058
O124 0.809 0.068 0.393
O125 0.809 0.740 0.730
O126 0.816 0.883 0.285
O127 0.853 0.999 0.172
O128 0.857 0.662 0.508
O129 0.859 0.301 0.166
O130 0.861 0.656 0.838
O131 0.868 0.325 0.845
O132 0.877 0.641 0.118
O133 0.878 0.306 0.450
O134 0.880 0.969 0.497
O135 0.883 0.992 0.899
O136 0.884 0.659 0.225
O137 0.893 0.952 0.782
O138 0.894 0.328 0.556
O139 0.981 0.496 0.400
O140 0.981 0.829 0.055
O141 0.988 0.451 0.285
O142 0.988 0.803 0.950
O143 0.990 0.168 0.730
O144 0.990 0.471 0.997
```

Results
ΔE_f   -2.419 eV per atom
Volume   1107.20 Å³/f.u.
Calculated total energy   -6.434 eV per atom
Total energy after the MP2020 corrections   -6.8566 eV per atom
M_tot   0.000 μB/f.u.


Entry 3:
VASP calculation (PBE-GGA) on crystalline ReH3O5 at its relaxed geometry.

```
data_ReH3O5
_space_group_name_H-M_alt 'P 1'
_space_group_IT_number 1
_cell_length_a 5.459
_cell_length_b 5.778
_cell_length_c 7.587
_cell_angle_alpha 68.46
_cell_angle_beta 72.08
_cell_angle_gamma 89.91
loop_
_space_group_symop_operation_xyz
'x,y,z'
loop_
_atom_site_label
_atom_site_fract_x
_atom_site_fract_y
_atom_site_fract_z
Re1 0.000 0.000 0.000
Re2 0.245 0.760 0.505
H1 0.358 0.502 0.107
H2 0.483 0.363 0.953
H3 0.558 0.661 0.884
H4 0.603 0.410 0.436
H5 0.648 0.142 0.611
H6 0.849 0.238 0.382
O1 0.059 0.701 0.140
O2 0.198 0.051 0.342
O3 0.298 0.196 0.859
O4 0.403 0.812 0.660
O5 0.434 0.589 0.371
O6 0.517 0.497 0.000
O7 0.736 0.290 0.488
O8 0.806 0.129 0.162
O9 0.829 0.973 0.844
O10 0.945 0.588 0.655
```

Results
ΔE_f   -1.634 eV per atom
Volume   105.05 Å³/f.u.
Calculated total energy   -6.515 eV per atom
Energy relative to the lowest polymorph listed for this composition   28.0 meV/atom
Total energy after the MP2020 corrections   -6.8964 eV per atom
M_tot   0.000 μB/f.u.
Maximum piezoelectric response   0.48 C/m2